No. 1
Computed, not measured: a relaxed K2NaAuBr6 crystal at the PBE level of DFT.

The space group is Fm-3m (No. 225) and the conventional cell measures 11.058, 11.058 and 11.058 Å, with angles of 90.00, 90.00 and 90.00 degrees. The inequivalent atoms are K at (0.250, 0.250, 0.250), Na at (0.000, 0.000, 0.000), Au at (0.000, 0.000, 0.500) and Br at (0.000, 0.000, 0.260).

The calculation puts the total energy at -0.0968 hartree per atom. The calculation puts the formation energy from the elements at -1.29 eV per atom. As for the crystal system: cubic. Its magnetic moment is 0.2 μB per formula unit.

No. 2
Computed, not measured: a relaxed KAuBr4O2 crystal at the PBE level of DFT.

The space group is P2_1/c (No. 14) and the conventional cell measures 5.004, 11.722 and 8.892 Å, with angles of 90.00, 99.19 and 90.00 degrees. The inequivalent atoms are K at (0.000, 0.000, 0.000), Au at (0.500, 0.000, 0.500), Br at (0.122, 0.112, 0.358), Br at (0.468, 0.167, 0.689) and O at (0.324, 0.657, 0.634).

The calculation puts the total energy at -0.1069 hartree per atom. The calculation puts the formation energy from the elements at -0.48 eV per atom. As for the crystal system: monoclinic. The polymorph energy (0 for the lowest one) is 0.0529 eV/atom. Its magnetic moment is 0.0 μB per formula unit.

No. 3
Computed, not measured: a relaxed KAuBr4O2 crystal at the PBE level of DFT.

The space group is P2_1/c (No. 14) and the conventional cell measures 4.395, 13.097 and 8.879 Å, with angles of 90.00, 90.42 and 90.00 degrees. The inequivalent atoms are K at (0.000, 0.000, 0.000), Au at (0.500, 0.000, 0.500), Br at (0.187, 0.114, 0.342), Br at (0.472, 0.148, 0.694) and O at (0.478, 0.602, 0.623).

The calculation puts the total energy at -0.1088 hartree per atom. The calculation puts the formation energy from the elements at -0.53 eV per atom. As for the crystal system: monoclinic. The polymorph energy (0 for the lowest one) is 0.0034 eV/atom. Its magnetic moment is 0.0 μB per formula unit.

No. 4
Computed, not measured: a relaxed KAuBr4O2 crystal at the PBE level of DFT.

The space group is P2_1/c (No. 14) and the conventional cell measures 8.771, 13.101 and 10.431 Å, with angles of 90.00, 119.92 and 90.00 degrees. The inequivalent atoms are K at (0.235, 0.024, 0.481), Au at (0.255, 0.002, 0.014), Br at (0.094, 0.639, 0.344), Br at (0.205, 0.136, 0.816), Br at (0.303, 0.636, 0.706), Br at (0.419, 0.141, 0.189), O at (0.079, 0.086, 0.638) and O at (0.423, 0.590, 0.886).

The calculation puts the total energy at -0.1089 hartree per atom. The calculation puts the formation energy from the elements at -0.53 eV per atom. As for the crystal system: monoclinic. The polymorph energy (0 for the lowest one) is 0.0000 eV/atom. Its magnetic moment is 0.0 μB per formula unit.

No. 5
Computed, not measured: a relaxed KRb2AuBr6 crystal at the PBE level of DFT.

The space group is Fm-3m (No. 225) and the conventional cell measures 11.585, 11.585 and 11.585 Å, with angles of 90.00, 90.00 and 90.00 degrees. The inequivalent atoms are K at (0.000, 0.000, 0.000), Rb at (0.250, 0.250, 0.250), Au at (0.000, 0.000, 0.500) and Br at (0.000, 0.000, 0.270).

The calculation puts the total energy at -0.0967 hartree per atom. The calculation puts the formation energy from the elements at -1.34 eV per atom. As for the crystal system: cubic. Its magnetic moment is 2.0 μB per formula unit.

No. 6
Computed, not measured: a relaxed K2RbAuBr6 crystal at the PBE level of DFT.

The space group is Fm-3m (No. 225) and the conventional cell measures 11.748, 11.748 and 11.748 Å, with angles of 90.00, 90.00 and 90.00 degrees. The inequivalent atoms are K at (0.250, 0.250, 0.250), Rb at (0.000, 0.000, 0.000), Au at (0.000, 0.000, 0.500) and Br at (0.000, 0.000, 0.274).

The calculation puts the total energy at -0.0951 hartree per atom. The calculation puts the formation energy from the elements at -1.28 eV per atom. As for the crystal system: cubic. Its magnetic moment is 2.0 μB per formula unit.

No. 7
Computed, not measured: a relaxed K2SbAuBr6 crystal at the PBE level of DFT.

The space group is Fm-3m (No. 225) and the conventional cell measures 11.237, 11.237 and 11.237 Å, with angles of 90.00, 90.00 and 90.00 degrees. The inequivalent atoms are K at (0.250, 0.250, 0.250), Sb at (0.000, 0.000, 0.000), Au at (0.000, 0.000, 0.500) and Br at (0.000, 0.000, 0.251).

The calculation puts the total energy at -0.1051 hartree per atom. The calculation puts the formation energy from the elements at -1.24 eV per atom. As for the crystal system: cubic. Its magnetic moment is 0.0 μB per formula unit.

No. 8
Computed, not measured: a relaxed K2ScAuBr6 crystal at the PBE level of DFT.

The space group is Fm-3m (No. 225) and the conventional cell measures 11.001, 11.001 and 11.001 Å, with angles of 90.00, 90.00 and 90.00 degrees. The inequivalent atoms are K at (0.250, 0.250, 0.250), Sc at (0.000, 0.000, 0.000), Au at (0.000, 0.000, 0.500) and Br at (0.000, 0.000, 0.242).

The calculation puts the total energy at -0.1283 hartree per atom. The calculation puts the formation energy from the elements at -1.65 eV per atom. As for the crystal system: cubic. Its magnetic moment is 0.0 μB per formula unit.

No. 9
Computed, not measured: a relaxed K2YAuBr6 crystal at the PBE level of DFT.

The space group is Fm-3m (No. 225) and the conventional cell measures 11.280, 11.280 and 11.280 Å, with angles of 90.00, 90.00 and 90.00 degrees. The inequivalent atoms are K at (0.250, 0.250, 0.250), Y at (0.000, 0.000, 0.000), Au at (0.000, 0.000, 0.500) and Br at (0.000, 0.000, 0.247).

The calculation puts the total energy at -0.1309 hartree per atom. The calculation puts the formation energy from the elements at -1.70 eV per atom. As for the crystal system: cubic. Its magnetic moment is 0.0 μB per formula unit.

No. 10
Computed, not measured: a relaxed AuBr3N2 crystal at the PBE level of DFT.

The space group is C2/m (No. 12) and the conventional cell measures 7.903, 8.093 and 6.517 Å, with angles of 90.00, 121.59 and 90.00 degrees. The inequivalent atoms are Au at (0.000, 0.000, 0.000), Br at (0.000, 0.500, 0.500), Br at (0.223, 0.000, 0.834) and N at (0.228, 0.000, 0.344).

The calculation puts the total energy at -0.1075 hartree per atom. The calculation puts the formation energy from the elements at 1.10 eV per atom. As for the crystal system: monoclinic. Its magnetic moment is 0.4 μB per formula unit.

No. 11
Computed, not measured: a relaxed Na3AuBr6 crystal at the PBE level of DFT.

The space group is Fm-3m (No. 225) and the conventional cell measures 10.950, 10.950 and 10.950 Å, with angles of 90.00, 90.00 and 90.00 degrees. The inequivalent atoms are Na at (0.000, 0.000, 0.000), Na at (0.250, 0.250, 0.250), Au at (0.000, 0.000, 0.500) and Br at (0.000, 0.000, 0.259).

The calculation puts the total energy at -0.0913 hartree per atom. The calculation puts the formation energy from the elements at -1.10 eV per atom. As for the crystal system: cubic. Its magnetic moment is 0.0 μB per formula unit.

No. 12
Computed, not measured: a relaxed Rb2NaAuBr6 crystal at the PBE level of DFT.

The space group is Fm-3m (No. 225) and the conventional cell measures 11.114, 11.114 and 11.114 Å, with angles of 90.00, 90.00 and 90.00 degrees. The inequivalent atoms are Rb at (0.250, 0.250, 0.250), Na at (0.000, 0.000, 0.000), Au at (0.000, 0.000, 0.500) and Br at (0.000, 0.000, 0.260).

The calculation puts the total energy at -0.0972 hartree per atom. The calculation puts the formation energy from the elements at -1.33 eV per atom. As for the crystal system: cubic. Its magnetic moment is 0.1 μB per formula unit.

No. 13
Computed, not measured: a relaxed RbAuBr4 crystal at the PBE level of DFT.

The space group is P2_1/c (No. 14) and the conventional cell measures 7.683, 6.375 and 10.932 Å, with angles of 90.00, 122.66 and 90.00 degrees. The inequivalent atoms are Rb at (0.000, 0.000, 0.000), Au at (0.500, 0.000, 0.500), Br at (0.120, 0.015, 0.379) and Br at (0.461, 0.719, 0.330).

The calculation puts the total energy at -0.0942 hartree per atom. The calculation puts the formation energy from the elements at -1.12 eV per atom. As for the crystal system: monoclinic.

No. 14
Computed, not measured: a relaxed Rb3Au3Br8 crystal at the PBE level of DFT.

The space group is C2/c (No. 15) and the conventional cell measures 12.952, 8.098 and 19.724 Å, with angles of 90.00, 97.56 and 90.00 degrees. The inequivalent atoms are Rb at (0.000, 0.016, 0.250), Rb at (0.182, 0.495, 0.584), Au at (0.000, 0.000, 0.000), Au at (0.117, 0.498, 0.810), Br at (0.041, 0.285, 0.877), Br at (0.064, 0.226, 0.428), Br at (0.178, 0.029, 0.064) and Br at (0.203, 0.297, 0.246).

The calculation puts the total energy at -0.1007 hartree per atom. The calculation puts the formation energy from the elements at -1.20 eV per atom. As for the crystal system: monoclinic.

No. 15
Computed, not measured: a relaxed Rb2YAuBr6 crystal at the PBE level of DFT.

The space group is Fm-3m (No. 225) and the conventional cell measures 11.322, 11.322 and 11.322 Å, with angles of 90.00, 90.00 and 90.00 degrees. The inequivalent atoms are Rb at (0.250, 0.250, 0.250), Y at (0.000, 0.000, 0.000), Au at (0.000, 0.000, 0.500) and Br at (0.000, 0.000, 0.247).

The calculation puts the total energy at -0.1314 hartree per atom. The calculation puts the formation energy from the elements at -1.74 eV per atom. As for the crystal system: cubic. Its magnetic moment is 0.0 μB per formula unit.

No. 16
Computed, not measured: a relaxed TaAuBr crystal at the PBE level of DFT.

The space group is F-43m (No. 216) and the conventional cell measures 6.318, 6.318 and 6.318 Å, with angles of 90.00, 90.00 and 90.00 degrees. The inequivalent atoms are Ta at (0.000, 0.000, 0.000), Au at (0.000, 0.000, 0.500) and Br at (0.250, 0.250, 0.250).

The calculation puts the total energy at -0.1643 hartree per atom. The calculation puts the formation energy from the elements at 0.94 eV per atom. As for the crystal system: cubic. Its magnetic moment is 0.0 μB per formula unit.

No. 17
Computed, not measured: a relaxed AuC crystal at the PBE level of DFT.

The space group is P6_3mc (No. 186) and the conventional cell measures 3.4399, 3.4399 and 5.8619 Å, with angles of 90.00, 90.00 and 120.00 degrees. The inequivalent atoms are Au at (0.3333, 0.6667, 0.0000) and C at (0.3333, 0.6667, 0.3651).

The calculation puts the total energy at -0.1607 hartree per atom. The calculation puts the formation energy from the elements at 1.88 eV per atom. As for the crystal system: hexagonal. The polymorph energy (0 for the lowest one) is 0.0000 eV/atom. Its magnetic moment is 0.0 μB per formula unit.

No. 18
Computed, not measured: a relaxed AuC2 crystal at the PBE level of DFT.

The space group is P6/mmm (No. 191) and the conventional cell measures 4.3955, 4.3955 and 5.1721 Å, with angles of 90.00, 90.00 and 120.00 degrees. The inequivalent atoms are Au at (0.0000, 0.0000, 0.0000) and C at (0.0000, 0.0000, 0.3769).

The calculation puts the total energy at -0.2095 hartree per atom. The calculation puts the formation energy from the elements at 1.54 eV per atom. As for the crystal system: hexagonal. Its magnetic moment is 0.3 μB per formula unit.